1.
Here is a relaxed structure of AlP2H18C6Cl3 from Materials Project. Energies are from PBE.

Output
energy of formation from the pure elements	-457	meV per atom
E_tot	-4.95	eV per atom
corrected total energy (MP2020 scheme)	-0.1841	hartree per atom

a b c (Å): 10.483 11.225 14.331
angles (deg): 90.00 90.00 90.00
Atoms (fractional coordinates):
1 Al 0.215 0.250 0.021
2 Al 0.285 0.750 0.521
3 Al 0.715 0.250 0.479
4 Al 0.785 0.750 0.979
5 P 0.022 0.250 0.128
6 P 0.097 0.750 0.409
7 P 0.403 0.250 0.909
8 P 0.478 0.750 0.628
9 P 0.522 0.250 0.372
10 P 0.597 0.750 0.091
11 P 0.903 0.250 0.591
12 P 0.978 0.750 0.872
13 H 0.010 0.627 0.283
14 H 0.010 0.873 0.283
15 H 0.029 0.539 0.878
16 H 0.029 0.961 0.878
17 H 0.030 0.750 0.706
18 H 0.074 0.170 0.496
19 H 0.074 0.330 0.496
20 H 0.085 0.540 0.372
21 H 0.085 0.960 0.372
22 H 0.115 0.170 0.270
23 H 0.115 0.330 0.270
24 H 0.128 0.622 0.955
25 H 0.128 0.878 0.955
26 H 0.136 0.250 0.594
27 H 0.159 0.623 0.832
28 H 0.159 0.877 0.832
29 H 0.181 0.618 0.289
30 H 0.181 0.882 0.289
31 H 0.319 0.118 0.789
32 H 0.319 0.382 0.789
33 H 0.341 0.123 0.332
34 H 0.341 0.377 0.332
35 H 0.364 0.750 0.094
36 H 0.372 0.122 0.455
37 H 0.372 0.378 0.455
38 H 0.385 0.670 0.770
39 H 0.385 0.830 0.770
40 H 0.415 0.040 0.872
41 H 0.415 0.460 0.872
42 H 0.426 0.670 0.996
43 H 0.426 0.830 0.996
44 H 0.470 0.250 0.206
45 H 0.471 0.039 0.378
46 H 0.471 0.461 0.378
47 H 0.490 0.127 0.783
48 H 0.490 0.373 0.783
49 H 0.510 0.627 0.217
50 H 0.510 0.873 0.217
51 H 0.529 0.539 0.622
52 H 0.529 0.961 0.622
53 H 0.530 0.750 0.794
54 H 0.574 0.170 0.004
55 H 0.574 0.330 0.004
56 H 0.585 0.540 0.128
57 H 0.585 0.960 0.128
58 H 0.615 0.170 0.230
59 H 0.615 0.330 0.230
60 H 0.628 0.622 0.545
61 H 0.628 0.878 0.545
62 H 0.636 0.250 0.906
63 H 0.659 0.623 0.668
64 H 0.659 0.877 0.668
65 H 0.681 0.618 0.211
66 H 0.681 0.882 0.211
67 H 0.819 0.118 0.711
68 H 0.819 0.382 0.711
69 H 0.841 0.123 0.168
70 H 0.841 0.377 0.168
71 H 0.864 0.750 0.406
72 H 0.872 0.122 0.045
73 H 0.872 0.378 0.045
74 H 0.885 0.670 0.730
75 H 0.885 0.830 0.730
76 H 0.915 0.040 0.628
77 H 0.915 0.460 0.628
78 H 0.926 0.670 0.504
79 H 0.926 0.830 0.504
80 H 0.970 0.250 0.294
81 H 0.971 0.039 0.122
82 H 0.971 0.461 0.122
83 H 0.990 0.127 0.717
84 H 0.990 0.373 0.717
85 C 0.058 0.250 0.253
86 C 0.062 0.250 0.539
87 C 0.084 0.621 0.885
88 C 0.084 0.879 0.885
89 C 0.092 0.622 0.330
90 C 0.092 0.878 0.330
91 C 0.408 0.122 0.830
92 C 0.408 0.378 0.830
93 C 0.416 0.121 0.385
94 C 0.416 0.379 0.385
95 C 0.438 0.750 0.039
96 C 0.442 0.750 0.753
97 C 0.558 0.250 0.247
98 C 0.562 0.250 0.961
99 C 0.584 0.621 0.615
100 C 0.584 0.879 0.615
101 C 0.592 0.622 0.170
102 C 0.592 0.878 0.170
103 C 0.908 0.122 0.670
104 C 0.908 0.378 0.670
105 C 0.916 0.121 0.115
106 C 0.916 0.379 0.115
107 C 0.938 0.750 0.461
108 C 0.942 0.750 0.747
109 Cl 0.088 0.250 0.900
110 Cl 0.219 0.582 0.584
111 Cl 0.219 0.918 0.584
112 Cl 0.281 0.082 0.084
113 Cl 0.281 0.418 0.084
114 Cl 0.412 0.750 0.400
115 Cl 0.588 0.250 0.600
116 Cl 0.719 0.582 0.916
117 Cl 0.719 0.918 0.916
118 Cl 0.781 0.082 0.416
119 Cl 0.781 0.418 0.416
120 Cl 0.912 0.750 0.100


2.
Here is a relaxed structure of AlPH8C3Cl3 from Materials Project. Energies are from PBE.

Output
energy of formation from the pure elements	-547	meV per atom
E_tot	-4.78	eV per atom
corrected total energy (MP2020 scheme)	-0.1798	hartree per atom

a b c (Å): 6.845 10.833 7.994
angles (deg): 90.00 113.28 90.00
Atoms (fractional coordinates):
1 Al 0.097 0.000 0.077
2 Al 0.903 0.500 0.923
3 P 0.075 0.001 0.765
4 P 0.925 0.501 0.235
5 H 0.129 0.782 0.742
6 H 0.133 0.219 0.744
7 H 0.182 0.868 0.572
8 H 0.185 0.131 0.575
9 H 0.221 0.484 0.543
10 H 0.302 0.573 0.379
11 H 0.370 0.866 0.803
12 H 0.378 0.135 0.807
13 H 0.622 0.635 0.193
14 H 0.630 0.366 0.197
15 H 0.698 0.073 0.621
16 H 0.779 0.984 0.457
17 H 0.815 0.631 0.425
18 H 0.818 0.368 0.428
19 H 0.867 0.719 0.256
20 H 0.871 0.282 0.258
21 C 0.186 0.515 0.404
22 C 0.200 0.866 0.715
23 C 0.207 0.135 0.719
24 C 0.793 0.635 0.281
25 C 0.800 0.366 0.285
26 C 0.814 0.015 0.596
27 Cl 0.219 0.500 0.926
28 Cl 0.269 0.163 0.207
29 Cl 0.269 0.837 0.206
30 Cl 0.731 0.337 0.794
31 Cl 0.731 0.663 0.793
32 Cl 0.781 0.000 0.074


3.
Here is a relaxed structure of AlPH9C3Cl3 from Materials Project. Energies are from PBE.

Output
energy of formation from the pure elements	-654	meV per atom
E_tot	-4.84	eV per atom
corrected total energy (MP2020 scheme)	-0.1817	hartree per atom

a b c (Å): 6.775 10.878 8.040
angles (deg): 90.00 113.60 90.00
Atoms (fractional coordinates):
1 Al 0.098 0.250 0.075
2 Al 0.902 0.750 0.925
3 P 0.072 0.250 0.764
4 P 0.928 0.750 0.236
5 H 0.128 0.032 0.741
6 H 0.128 0.468 0.741
7 H 0.181 0.119 0.573
8 H 0.181 0.381 0.573
9 H 0.208 0.750 0.540
10 H 0.288 0.668 0.385
11 H 0.288 0.832 0.385
12 H 0.373 0.117 0.804
13 H 0.373 0.383 0.804
14 H 0.627 0.617 0.196
15 H 0.627 0.883 0.196
16 H 0.712 0.168 0.615
17 H 0.712 0.332 0.615
18 H 0.792 0.250 0.460
19 H 0.819 0.619 0.427
20 H 0.819 0.881 0.427
21 H 0.872 0.532 0.259
22 H 0.872 0.968 0.259
23 C 0.201 0.116 0.716
24 C 0.201 0.384 0.716
25 C 0.205 0.750 0.403
26 C 0.795 0.250 0.597
27 C 0.799 0.616 0.284
28 C 0.799 0.884 0.284
29 Cl 0.220 0.750 0.927
30 Cl 0.271 0.088 0.207
31 Cl 0.271 0.412 0.207
32 Cl 0.729 0.588 0.793
33 Cl 0.729 0.912 0.793
34 Cl 0.780 0.250 0.073